Li2Co4OF8: relaxed, PBE with a Hubbard U.

Cell lengths 5.266, 5.266, 14.153 Å; angles 90.75, 90.75, 58.77 degrees
Positions (direct):
Li 0.004 0.996 0.500
Li 0.010 0.978 0.795
Li 0.978 0.010 0.295
Li 0.996 0.004 0.000
Co 0.313 0.347 0.833
Co 0.327 0.350 0.637
Co 0.347 0.313 0.333
Co 0.350 0.327 0.137
Co 0.654 0.698 0.179
Co 0.665 0.672 0.966
Co 0.672 0.665 0.466
Co 0.698 0.654 0.679
O 0.050 0.619 0.734
O 0.619 0.050 0.234
F 0.011 0.340 0.238
F 0.011 0.675 0.404
F 0.306 0.693 0.905
F 0.307 0.995 0.405
F 0.319 0.661 0.234
F 0.340 0.011 0.738
F 0.353 0.979 0.064
F 0.377 0.668 0.569
F 0.661 0.319 0.734
F 0.663 0.980 0.568
F 0.668 0.377 0.069
F 0.675 0.011 0.904
F 0.693 0.306 0.405
F 0.979 0.353 0.564
F 0.980 0.663 0.068
F 0.995 0.307 0.905

Output
Energy of formation from the pure elements (eV/atom): -2.348
Distance to the lowest polymorph of the same formula (eV/f.u.): 0.00
Total energy (eV per atom): -5.1199
Total magnetization (μB per cell): 24.0
Calculated volume (Å³/cell): 335.5
SG: Cc (9)
Crystal system: monoclinic